Record 1
The following is a GGA+U calculation of a relaxed structure of BaCaNdMnO6, from Materials Project.

The structure in POSCAR format:
```
BaCaNdMnO6
1.0
-1.1339 1.9005 -5.3691
-2.7853 -3.4316 -3.7672
-5.4600 1.2240 -1.5544
Mn Nd Ba O Ca
1 1 1 6 1
Direct
0.5000 0.5000 0.5000
0.2500 0.2500 0.2500
0.7500 0.7500 0.7500
0.2688 0.7312 0.2688
0.7312 0.7312 0.2688
0.7312 0.2688 0.7312
0.2688 0.7312 0.7312
0.7312 0.2688 0.2688
0.2688 0.2688 0.7312
0.0000 0.0000 0.0000
```

Computed properties:
Its crystal system is cubic.

Record 2
The following is a GGA+U calculation of a relaxed structure of BaCaNdMnO6, from Materials Project.

The structure in POSCAR format:
```
BaCaNdMnO6
1.0
0.0000 -4.2059 -4.2059
4.2059 0.0000 -4.2059
4.2059 -4.2059 0.0000
O Ca Nd Mn Ba
6 1 1 1 1
Direct
0.7724 0.2276 0.2276
0.2276 0.7724 0.7724
0.2276 0.7724 0.2276
0.7724 0.2276 0.7724
0.2276 0.2276 0.7724
0.7724 0.7724 0.2276
0.2500 0.2500 0.2500
0.5000 0.5000 0.5000
0.0000 0.0000 0.0000
0.7500 0.7500 0.7500
```

Computed properties:
Its crystal system is cubic.

Record 3
The following is a GGA+U calculation of a relaxed structure of BaSrCaMnO6, from Materials Project.

The structure in POSCAR format:
```
BaSrCaMnO6
1.0
0.4933 -0.0209 -5.8697
-3.6582 -3.2778 -3.2514
-4.1235 2.5940 -3.3114
O Ca Sr Ba Mn
6 1 1 1 1
Direct
0.7291 0.7291 0.2709
0.7291 0.2709 0.7291
0.2709 0.7291 0.7291
0.7291 0.2709 0.2709
0.2709 0.2709 0.7291
0.2709 0.7291 0.2709
0.0000 0.0000 0.0000
0.2500 0.2500 0.2500
0.7500 0.7500 0.7500
0.5000 0.5000 0.5000
```

Computed properties:
Its crystal system is cubic.

ΔE_f across the listed records, respectively: -2568, -2568, -2384 kJ/mol of formula units.
E (MP2020) across the listed records, respectively: -74.15, -74.16, -69.18 eV per formula unit.